Record 1
Density functional theory data (PBE-GGA) for Ga3Pt after structural relaxation.

Values from the calculation:
Volume   67.9 Å³ per cell
Energy of formation   -0.165 eV/atom
Magnetic moment   0.00 μB per atom
Distance to the lowest polymorph of the same formula   0.0000 eV per atom

Lattice parameters (Å, degrees): 4.5787 4.5787 4.5787 60.00 60.00 60.00
Fractional positions:
Ga 0.2500 0.2500 0.2500
Ga 0.7500 0.7500 0.7500
Ga 0.5000 0.5000 0.5000
Pt 0.0000 0.0000 0.0000



Record 2
Density functional theory data (PBE-GGA) for Ga3Pt after structural relaxation.

Values from the calculation:
Volume   136.9 Å³ per cell
Energy of formation   -0.149 eV/atom
Magnetic moment   0.00 μB per atom
Distance to the lowest polymorph of the same formula   0.0162 eV per atom

Lattice parameters (Å, degrees): 5.9117 5.9117 4.5218 90.00 90.00 120.00
Fractional positions:
Ga 0.8295 0.1705 0.7500
Ga 0.3411 0.1705 0.7500
Ga 0.6589 0.8295 0.2500
Ga 0.1705 0.8295 0.2500
Ga 0.8295 0.6589 0.7500
Ga 0.1705 0.3411 0.2500
Pt 0.6667 0.3333 0.2500
Pt 0.3333 0.6667 0.7500



Record 3
Density functional theory data (PBE-GGA) for Ga2RuPt after structural relaxation.

Values from the calculation:
Volume   58.0 Å³ per cell
Energy of formation   -0.441 eV/atom
Magnetic moment   0.00 μB per atom

Lattice parameters (Å, degrees): 4.3459 4.3459 4.3459 60.00 60.00 60.00
Fractional positions:
Ru 0.0000 0.0000 0.0000
Ga 0.7500 0.7500 0.7500
Ga 0.2500 0.2500 0.2500
Pt 0.5000 0.5000 0.5000